DFT (PBE) results for a relaxed Hf2Pd crystal.

Properties
calculated formation energy	-1.58	eV/f.u.

a = 3.2973 Å, b = 3.2973 Å, c = 10.7933 Å
α = 90.00°, β = 90.00°, γ = 90.00°
Last column: nearest neighbours and their distance in Å.
Space group I4/mmm (No. 139)
Asymmetric unit:
Hf 0.0000 0.0000 0.1582 x4  4 Pd 2.89, 4 Hf 3.06
Pd 0.0000 0.0000 0.5000 x2  8 Hf 2.89

***

DFT (PBE) results for a relaxed Tl4Te3Mo crystal.

Properties
calculated formation energy	0.73	eV/f.u.

a = 8.6197 Å, b = 8.6197 Å, c = 13.4282 Å
α = 90.00°, β = 90.00°, γ = 90.00°
Last column: nearest neighbours and their distance in Å.
Space group I4/mcm (No. 140)
Asymmetric unit:
Tl 0.1445 0.3555 0.1614 x16  1 Te 3.11, 2 Tl 3.45
Te 0.0000 0.0000 0.2500 x4  2 Mo 3.36, 8 Tl 3.52
Te 0.1725 0.3275 0.5000 x8  2 Tl 3.11, 2 Mo 3.19
Mo 0.0000 0.0000 0.0000 x4  6 Te 3.19-3.36

***

DFT (PBE) results for a relaxed Na8CaHf3Si4P2O24 crystal.

Properties
calculated formation energy	-129.41	eV/f.u.

a = 9.2678 Å, b = 9.2695 Å, c = 22.5308 Å
α = 89.95°, β = 89.89°, γ = 60.01°
Last column: nearest neighbours and their distance in Å.
Space group P1 (No. 1)
Asymmetric unit:
Na 0.0000 0.0000 0.0000 x1  5 O 2.45-2.71
Na 0.9998 0.2922 0.4880 x1  6 O 2.44-2.72
Na 0.0190 0.3292 0.8436 x1  2 O 2.25-2.42
Na 0.0236 0.9380 0.3369 x1  4 O 2.40-2.51
Na 0.2735 0.3259 0.3385 x1  4 O 2.36-2.56
Na 0.2844 0.6769 0.8424 x1  2 O 2.27-2.41
Na 0.3152 0.9967 0.4122 x1  5 O 2.40-2.64
Na 0.3231 0.6194 0.1620 x1  5 O 2.49-2.74
Na 0.3235 0.9851 0.9218 x1  6 O 2.51-2.64
Na 0.3385 0.6554 0.4954 x1  5 O 2.47-2.76
Na 0.3402 0.2927 0.9999 x1  5 O 2.45-2.71
Na 0.3424 0.3496 0.6654 x1  5 O 2.41-2.67
Na 0.6310 0.0122 0.4981 x1  2 O 2.40-2.51
Na 0.6329 0.6597 0.9999 x1  5 O 2.45-2.71
Na 0.6493 0.3156 0.5834 x1  6 O 2.45-2.68
Na 0.6566 0.3186 0.0811 x1  6 O 2.57-2.58
Na 0.6703 0.9460 0.8424 x1  2 O 2.27-2.42
Na 0.6758 0.6866 0.3298 x1  6 O 2.40-2.68
Na 0.6865 0.6095 0.6686 x1  4 O 2.44-2.50
Na 0.6901 0.9821 0.1646 x1  6 O 2.51-2.80
Na 0.9468 0.9923 0.6693 x1  4 O 2.37-2.56
Na 0.9589 0.3519 0.1646 x1  6 O 2.49-2.79
Na 0.9853 0.6504 0.2511 x1  6 O 2.41-2.65
Na 0.9899 0.6545 0.7522 x1  6 O 2.53-2.67
Ca 0.6566 0.3165 0.7292 x1  6 O 2.20-2.37
Ca 0.9909 0.6515 0.9044 x1  6 O 2.20-2.39
Ca 0.9924 0.6502 0.3974 x1  6 O 2.23-2.39
Hf 0.3228 0.9881 0.2665 x1  6 O 2.01-2.23
Hf 0.3245 0.9845 0.0660 x1  6 O 2.03-2.08
Hf 0.3260 0.9843 0.5628 x1  6 O 1.99-2.12
Hf 0.3287 0.9784 0.7660 x1  6 O 1.98-2.20
Hf 0.6573 0.3173 0.9340 x1  6 O 2.04-2.14
Hf 0.6604 0.3100 0.4329 x1  5 O 1.98-2.11
Hf 0.6620 0.3134 0.2271 x1  6 O 1.98-2.13
Hf 0.9900 0.6510 0.0978 x1  6 O 2.05-2.12
Hf 0.9941 0.6558 0.5985 x1  5 O 1.99-2.16
Si 0.0300 0.9797 0.1659 x1  4 O 1.63-1.65
Si 0.2929 0.3492 0.4965 x1  4 O 1.60-1.67
Si 0.2943 0.6530 0.9965 x1  4 O 1.60-1.66
Si 0.3157 0.6939 0.6632 x1  4 O 1.61-1.67
Si 0.3204 0.2839 0.1653 x1  4 O 1.63-1.65
Si 0.6217 0.6893 0.1659 x1  4 O 1.63-1.65
Si 0.6260 0.9717 0.6639 x1  4 O 1.62-1.67
Si 0.6496 0.0266 0.3294 x1  4 O 1.61-1.66
Si 0.6856 0.9543 0.9964 x1  4 O 1.60-1.66
Si 0.9545 0.3105 0.3296 x1  4 O 1.61-1.66
Si 0.9921 0.9548 0.4962 x1  4 O 1.60-1.68
Si 0.9926 0.3456 0.9965 x1  4 O 1.60-1.66
P 0.0414 0.2799 0.6643 x1  4 O 1.53-1.57
P 0.3596 0.3111 0.8287 x1  4 O 1.53-1.58
P 0.3748 0.6102 0.3298 x1  4 O 1.53-1.56
P 0.6518 0.6204 0.8285 x1  4 O 1.53-1.59
P 0.6906 0.6493 0.4985 x1  4 O 1.53-1.57
P 0.9617 0.0211 0.8287 x1  4 O 1.53-1.58
O 0.0122 0.8132 0.1589 x1  1 Si 1.64
O 0.0288 0.4531 0.6614 x1  1 P 1.55
O 0.0383 0.4064 0.9364 x1  1 Si 1.60
O 0.0384 0.8449 0.4370 x1  1 Si 1.60
O 0.1207 0.0080 0.1087 x1  1 Si 1.63
O 0.1348 0.0162 0.8306 x1  1 P 1.58
O 0.1356 0.1343 0.3292 x1  1 Si 1.66
O 0.1358 0.1748 0.6095 x1  1 P 1.54
O 0.1442 0.6800 0.6612 x1  1 Si 1.66
O 0.1470 0.1884 0.7206 x1  1 P 1.57
O 0.1465 0.9925 0.5060 x1  1 Si 1.65
O 0.1481 0.1565 0.0076 x1  1 Si 1.64
O 0.1481 0.9527 0.2241 x1  1 Si 1.65
O 0.1514 0.4665 0.1591 x1  1 Si 1.64
O 0.1830 0.4095 0.4372 x1  1 Si 1.60
O 0.1839 0.4641 0.8332 x1  1 P 1.54
O 0.1882 0.4752 0.5529 x1  1 Si 1.67
O 0.1885 0.6987 0.9364 x1  1 Si 1.60
O 0.1953 0.6213 0.0520 x1  1 Si 1.66
O 0.2013 0.6277 0.3294 x1  1 P 1.53
O 0.2940 0.1898 0.2232 x1  1 Si 1.65
O 0.2966 0.8094 0.7227 x1  1 Si 1.67
O 0.3207 0.7987 0.6060 x1  1 Si 1.63
O 0.3285 0.8081 0.0077 x1  1 Si 1.64
O 0.3332 0.1559 0.5060 x1  1 Si 1.65
O 0.3491 0.1649 0.1082 x1  1 Si 1.63
O 0.3504 0.1452 0.8303 x1  1 P 1.58
O 0.3630 0.7841 0.3289 x1  1 P 1.56
O 0.4371 0.3242 0.7705 x1  1 P 1.53
O 0.4695 0.5074 0.2744 x1  1 P 1.55
O 0.4715 0.3489 0.4942 x1  1 Si 1.65
O 0.4744 0.2979 0.8827 x1  1 P 1.58
O 0.4772 0.4792 0.9910 x1  1 Si 1.66
O 0.4770 0.5198 0.3865 x1  1 P 1.56
O 0.4780 0.0136 0.3296 x1  1 Si 1.65
O 0.4800 0.5115 0.6614 x1  1 Si 1.61
O 0.4829 0.3101 0.1688 x1  1 Si 1.64
O 0.4834 0.7947 0.8302 x1  1 P 1.59
O 0.4964 0.9880 0.0073 x1  1 Si 1.64
O 0.5041 0.7817 0.1087 x1  1 Si 1.63
O 0.5096 0.7986 0.5070 x1  1 P 1.56
O 0.5115 0.9856 0.6070 x1  1 Si 1.63
O 0.5247 0.9588 0.7231 x1  1 Si 1.67
O 0.5307 0.8072 0.2244 x1  1 Si 1.65
O 0.6353 0.1385 0.3891 x1  1 Si 1.66
O 0.6383 0.5192 0.8823 x1  1 P 1.58
O 0.6427 0.5024 0.1686 x1  1 Si 1.65
O 0.6525 0.1311 0.6622 x1  1 Si 1.62
O 0.6550 0.1311 0.2715 x1  1 Si 1.64
O 0.6655 0.5306 0.7702 x1  1 P 1.53
O 0.6761 0.1374 0.9911 x1  1 Si 1.66
O 0.6797 0.4878 0.4946 x1  1 P 1.55
O 0.7460 0.8489 0.9362 x1  1 Si 1.60
O 0.7557 0.6882 0.4418 x1  1 P 1.53
O 0.8025 0.6464 0.8332 x1  1 P 1.54
O 0.8054 0.7949 0.6616 x1  1 Si 1.65
O 0.8064 0.6267 0.5525 x1  1 P 1.57
O 0.8059 0.6727 0.1592 x1  1 Si 1.64
O 0.8158 0.8459 0.3281 x1  1 Si 1.61
O 0.8160 0.8551 0.0517 x1  1 Si 1.66
O 0.8170 0.1368 0.4948 x1  1 Si 1.66
O 0.8189 0.3363 0.9908 x1  1 Si 1.66
O 0.8414 0.1450 0.1683 x1  1 Si 1.65
O 0.8427 0.3205 0.2718 x1  1 Si 1.64
O 0.8557 0.3002 0.3896 x1  1 Si 1.66
O 0.8585 0.1353 0.8825 x1  1 P 1.58
O 0.8669 0.2999 0.6647 x1  1 P 1.53
O 0.8722 0.0978 0.7704 x1  1 P 1.53
O 0.9608 0.4762 0.0519 x1  1 Si 1.66
O 0.9639 0.8527 0.5524 x1  1 Si 1.68
O 0.9752 0.4732 0.3274 x1  1 Si 1.61
O 0.9863 0.8448 0.8331 x1  1 P 1.54

***

DFT (PBE) results for a relaxed Tl3Au crystal.

Properties
calculated formation energy	0.15	eV/f.u.

a = 4.7882 Å, b = 4.7882 Å, c = 4.7882 Å
α = 90.00°, β = 90.00°, γ = 90.00°
Last column: nearest neighbours and their distance in Å.
Space group Pm-3m (No. 221)
Asymmetric unit:
Tl 0.0000 0.0000 0.5000 x3  4 Au 3.39, 8 Tl 3.39
Au 0.5000 0.5000 0.5000 x1  12 Tl 3.39